(one)
The following is a DFT calculation (PBE+U) of a geometry-optimized Li2TiFe3O8 structure.

Geometry as extended XYZ:
```
56
Lattice="8.3979 0.0000 0.0000 -0.0219 8.4073 0.0000 -0.0018 -0.0094 8.6124" Properties=species:S:1:pos:R:3 pbc="T T T"
Li 0.0000 0.0000 0.0000
Li -0.0016 4.1710 4.2989
Li 2.0717 2.0865 6.4396
Li 2.0972 6.3083 2.1415
Li 4.1570 8.3763 4.3110
Li 4.2061 4.1844 8.6115
Li 6.2474 6.3052 6.4544
Li 6.2858 2.1143 2.1429
Ti 1.0259 5.2945 7.4760
Ti 3.1414 1.0543 1.0578
Ti 5.2593 3.1104 5.3402
Ti 7.3486 7.3724 3.2951
Fe 1.0244 3.1560 1.0956
Fe 1.0593 1.0419 3.2108
Fe 1.0557 7.3567 5.3649
Fe 3.1302 3.1319 3.2064
Fe 3.1382 7.3470 7.5394
Fe 3.1632 5.2293 5.4001
Fe 5.2368 1.0322 7.5432
Fe 5.2253 7.3578 1.0572
Fe 5.2536 5.2574 3.2520
Fe 7.3196 5.2538 1.0806
Fe 7.3322 3.1727 7.5107
Fe 7.3677 1.0571 5.3905
O 0.8401 5.1954 0.9513
O 0.8762 3.2571 7.6319
O 0.8863 7.3846 3.3116
O 0.9609 0.9330 5.2516
O 1.0734 7.2104 7.4377
O 1.1373 3.0631 3.1158
O 1.1245 5.3079 5.5246
O 1.1611 1.1303 1.1590
O 2.9694 5.2970 7.4891
O 3.0427 7.2148 5.4962
O 3.0618 3.0353 1.1544
O 3.0858 1.1183 3.0644
O 3.1996 7.4807 0.9781
O 3.2223 0.9747 7.6726
O 3.2718 3.2299 5.2856
O 3.3222 5.1583 3.3061
O 5.1259 0.9805 0.9850
O 5.1506 5.1118 5.3187
O 5.1519 7.4465 7.6459
O 5.1906 3.2703 3.3652
O 5.3267 1.1740 5.4599
O 5.3367 7.2132 3.1319
O 5.3816 3.0847 7.3811
O 5.4207 5.3231 1.1639
O 7.1790 5.3541 3.1864
O 7.2192 3.0631 5.4362
O 7.2597 1.2192 7.4463
O 7.2669 7.1689 1.2072
O 7.3887 3.3551 0.9873
O 7.4018 0.8845 3.2796
O 7.3974 7.4266 5.2373
O 7.4334 5.1179 7.5802
```

Output
As for the total magnetization: 13.00 μB per formula unit.

---

(two)
The following is a DFT calculation (PBE+U) of a geometry-optimized Li2TiFe3O8 structure.

Geometry as extended XYZ:
```
14
Lattice="2.9936 1.7284 4.8862 -2.9936 1.7284 4.8862 0.0000 -3.4567 4.8862" Properties=species:S:1:pos:R:3 pbc="T T T"
Li 0.0000 0.0000 1.8408
Li 0.0000 0.0000 12.8178
Ti 0.0000 0.0000 7.3293
Fe -1.4968 -0.8642 4.8862
Fe -1.4968 0.8642 9.7724
Fe 0.0000 1.7284 4.8862
O 0.0000 0.0000 3.8542
O 0.0000 -1.5507 6.0863
O -1.3429 0.7754 6.0863
O -1.3430 -0.7754 8.5723
O 1.3429 0.7754 6.0863
O 1.3430 -0.7754 8.5723
O 0.0000 1.5507 8.5723
O 0.0000 0.0000 10.8044
```

Output
As for the total magnetization: 14.00 μB per formula unit.

---

It is (two) that is the most stable of them.

---

(one)
The following is a DFT calculation (PBE+U) of a geometry-optimized Li6TiFe5O12 structure.

Geometry as extended XYZ:
```
24
Lattice="2.5803 -4.4720 0.0000 2.5803 4.4720 0.0000 -1.4515 0.0000 10.0928" Properties=species:S:1:pos:R:3 pbc="T T T"
Li 0.2193 0.0000 2.5730
Li 0.9058 1.5779 7.5012
Li 2.8033 1.5779 2.5917
Li 0.9135 -1.4531 7.4869
Li 2.7956 -1.4531 2.6059
Li 3.4898 0.0000 7.5198
Ti 1.8546 0.0703 5.0464
Fe 1.8546 3.0093 5.0464
Fe 2.5803 1.5229 0.0000
Fe 2.5803 -1.4545 0.0000
Fe 1.8546 -2.9666 5.0464
Fe 2.5803 -4.4366 0.0000
O 1.7411 3.0073 1.1583
O 0.9555 1.4144 3.8947
O 0.2386 0.1192 6.1883
O 1.9680 3.0073 8.9345
O 1.7303 0.0411 1.1317
O 1.0525 -1.4191 3.9353
O 2.7536 1.4144 6.1981
O 1.9788 0.0411 8.9612
O 1.7371 -2.9493 1.1439
O 3.4705 0.1192 3.9045
O 2.6566 -1.4191 6.1575
O 1.9720 -2.9493 8.9490
```

Output
As for the total magnetization: 24.00 μB per formula unit.

---

(two)
The following is a DFT calculation (PBE+U) of a geometry-optimized Li6TiFe5O12 structure.

Geometry as extended XYZ:
```
24
Lattice="2.5768 -4.3311 0.0000 2.5768 4.3311 0.0000 -1.1119 0.0000 10.0523" Properties=species:S:1:pos:R:3 pbc="T T T"
Li 0.3148 0.0000 2.5764
Li 1.1339 1.5062 7.4734
Li 2.9077 1.5062 2.5789
Li 1.1339 -1.5062 7.4734
Li 2.9077 -1.5062 2.5789
Li 3.7268 0.0000 7.4759
Ti 2.0208 0.0000 5.0262
Fe 0.0000 0.0000 0.0000
Fe 2.0208 2.9024 5.0262
Fe 2.5768 1.4612 0.0000
Fe 2.5768 -1.4612 0.0000
Fe 2.0208 -2.9024 5.0262
O 1.9229 2.8029 1.1899
O 1.1879 1.3820 3.8576
O 0.3946 0.0000 6.1943
O 2.1188 2.8029 8.8625
O 1.8908 0.0000 1.0781
O 1.1879 -1.3820 3.8576
O 2.8537 1.3820 6.1947
O 2.1508 0.0000 8.9743
O 1.9229 -2.8029 1.1899
O 3.6471 0.0000 3.8580
O 2.8537 -1.3820 6.1947
O 2.1188 -2.8029 8.8625
```

Output
As for the total magnetization: 24.00 μB per formula unit.

---

It is (one) that is the most stable of them.

---

(one)
The following is a DFT calculation (PBE+U) of a geometry-optimized Li2VFeO4 structure.

Geometry as extended XYZ:
```
8
Lattice="-2.0609 2.0609 4.3592 2.0609 -2.0609 4.3592 2.0609 2.0609 -4.3592" Properties=species:S:1:pos:R:3 pbc="T T T"
Li 0.0000 0.0000 0.0000
Li 0.0000 2.0609 2.1796
V 0.0000 0.0000 4.3592
Fe 2.0609 0.0000 2.1796
O 2.0609 0.0000 0.1174
O 0.0000 0.0000 2.3496
O 2.0609 0.0000 4.2418
O 0.0000 0.0000 6.3687
```

Output
As for the total magnetization: 6.91 μB per formula unit.

---

(two)
The following is a DFT calculation (PBE+U) of a geometry-optimized Li2VFeO4 structure.

Geometry as extended XYZ:
```
16
Lattice="-2.9778 2.9802 4.2584 2.9778 -2.9802 4.2584 2.9778 2.9802 -4.2584" Properties=species:S:1:pos:R:3 pbc="T T T"
Li 0.0000 0.0000 0.0000
Li -1.4889 1.4901 2.1292
Li 0.0000 2.9802 0.0000
Li 1.4889 1.4901 2.1292
V 1.4889 1.4901 -2.1292
V 1.4889 -1.4901 2.1292
Fe 2.9778 0.0000 0.0000
Fe 0.0000 0.0000 4.2584
O 2.9778 -0.0692 2.0529
O 1.5532 1.4901 -0.0917
O 4.4024 1.4901 -0.0917
O 2.9778 2.9110 -2.0529
O 0.0000 0.0692 6.3113
O -1.4246 1.4901 4.3501
O 1.4246 1.4901 4.3501
O 0.0000 3.0494 2.2054
```

Output
As for the total magnetization: 7.00 μB per formula unit.

---

It is (two) that is the most stable of them.

---

(one)
The following is a DFT calculation (PBE+U) of a geometry-optimized Li2VFeO4 structure.

Geometry as extended XYZ:
```
16
Lattice="5.8614 0.0000 0.0000 -0.0047 5.8944 0.0000 -2.9208 -2.9450 4.2263" Properties=species:S:1:pos:R:3 pbc="T T T"
Li 0.0000 0.0000 0.0000
Li -1.4625 4.4235 2.1099
Li 1.4625 4.4234 2.1109
Li 2.9379 -0.0014 4.2204
V 2.9306 0.0025 0.0003
V 2.9281 2.9498 0.0001
Fe -1.4616 1.4755 2.1128
Fe 1.4646 1.4770 2.1149
O -0.0130 0.1484 2.1192
O -0.0251 2.8380 2.1669
O 1.5291 4.4099 0.0332
O 1.5177 1.4894 0.1119
O 1.4176 1.4652 4.1142
O 1.4068 -1.4555 4.1919
O 2.9607 0.1163 2.0589
O 2.9486 2.8056 2.1064
```

Output
As for the total magnetization: 7.00 μB per formula unit.

---

(two)
The following is a DFT calculation (PBE+U) of a geometry-optimized Li2VFeO4 structure.

Geometry as extended XYZ:
```
8
Lattice="5.2115 0.0000 0.0000 0.0000 2.9666 0.0000 -1.8194 0.0000 4.9171" Properties=species:S:1:pos:R:3 pbc="T T T"
Li 0.0000 0.0000 0.0000
Li -0.9097 1.4833 2.4585
V 1.6960 0.0000 2.4585
Fe 2.6058 1.4833 0.0000
O 0.0163 0.0000 3.7412
O 0.9589 1.4833 1.2728
O 2.4332 1.4833 3.6443
O 3.3758 0.0000 1.1758
```

Output
As for the total magnetization: 7.00 μB per formula unit.

---

It is (two) that is the most stable of them.

---

(one)
The following is a DFT calculation (PBE+U) of a geometry-optimized Li2VFe3O8 structure.

Geometry as extended XYZ:
```
56
Lattice="8.4810 0.0000 0.0000 0.0000 8.4810 0.0000 0.0000 0.0000 8.4810" Properties=species:S:1:pos:R:3 pbc="T T T"
Li 0.0047 4.2358 4.2452
Li 2.1156 6.3561 6.3654
Li 2.1249 2.1249 2.1249
Li 4.2358 4.2452 0.0047
Li 4.2452 0.0047 4.2358
Li 6.3561 6.3654 2.1156
Li 6.3654 2.1156 6.3561
Li 8.4763 8.4763 8.4763
V 1.0601 7.4209 3.1804
V 3.1804 1.0601 7.4209
V 5.3006 5.3006 5.3006
V 7.4209 3.1804 1.0601
Fe 1.0564 1.0639 5.3006
Fe 1.0601 3.1841 7.4171
Fe 1.0639 5.3006 1.0564
Fe 3.1766 3.1804 5.2969
Fe 3.1804 5.2969 3.1766
Fe 3.1841 7.4171 1.0601
Fe 5.3006 1.0564 1.0639
Fe 5.2969 3.1766 3.1804
Fe 5.3044 7.4209 7.4246
Fe 7.4171 1.0601 3.1841
Fe 7.4246 5.3044 7.4209
Fe 7.4209 7.4246 5.3044
O 0.8584 3.2387 1.0057
O 0.9500 5.1905 7.5310
O 1.0018 7.4753 5.0989
O 1.0057 0.8584 3.2387
O 1.1145 7.3626 1.2618
O 1.1184 5.5023 3.1260
O 1.1703 3.0702 5.4107
O 1.2618 1.1145 7.3626
O 2.9787 7.3664 3.1221
O 3.0702 5.4107 1.1703
O 3.1221 2.9787 7.3664
O 3.1260 1.1184 5.5023
O 3.2348 7.6225 7.4792
O 3.2387 1.0057 0.8584
O 3.2905 3.2905 3.2905
O 3.3821 5.2423 5.2462
O 5.0989 1.0018 7.4753
O 5.1905 7.5310 0.9500
O 5.2423 5.2462 3.3821
O 5.2462 3.3821 5.2423
O 5.3550 5.3589 7.2192
O 5.3589 7.2192 5.3550
O 5.4107 1.1703 3.0702
O 5.5023 3.1260 1.1184
O 7.2192 5.3550 5.3589
O 7.3107 7.3107 7.3107
O 7.3626 1.2618 1.1145
O 7.3664 3.1221 2.9787
O 7.4753 5.0989 1.0018
O 7.4792 3.2348 7.6225
O 7.5310 0.9500 5.1905
O 7.6225 7.4792 3.2348
```

Output
As for the total magnetization: 15.00 μB per formula unit.

---

(two)
The following is a DFT calculation (PBE+U) of a geometry-optimized Li2VFe3O8 structure.

Geometry as extended XYZ:
```
28
Lattice="2.9681 -5.0751 0.0000 2.9681 5.0751 0.0000 0.0000 0.0000 9.4263" Properties=species:S:1:pos:R:3 pbc="T T T"
Li 2.9681 -5.0732 0.0000
Li 2.9681 5.0732 4.7132
Li 2.9681 1.6907 5.5797
Li 2.9681 -1.6907 0.8665
V 2.9681 1.6879 9.3713
V 2.9681 -1.6879 4.6581
Fe 1.5281 0.8909 2.5719
Fe 2.9681 3.3072 2.6096
Fe 1.5281 -0.8909 7.2851
Fe 4.4081 0.8909 2.5719
Fe 2.9681 -3.3072 7.3227
Fe 4.4081 -0.8909 7.2851
O 2.9681 5.0347 1.8012
O 1.6955 2.4803 1.3793
O 1.5373 0.9345 8.4930
O 2.9681 3.3178 8.5005
O 2.9681 1.6992 3.6363
O 1.5373 -0.9345 3.7798
O 4.2407 2.4803 1.3793
O 2.9681 0.2265 1.3099
O 2.9681 -0.2265 6.0230
O 1.6955 -2.4803 6.0925
O 4.3989 0.9345 8.4930
O 2.9681 -1.6992 8.3495
O 2.9681 -3.3178 3.7874
O 4.3989 -0.9345 3.7798
O 4.2407 -2.4803 6.0925
O 2.9681 -5.0347 6.5143
```

Output
As for the total magnetization: 15.00 μB per formula unit.

---

(three)
The following is a DFT calculation (PBE+U) of a geometry-optimized Li2VFe3O8 structure.

Geometry as extended XYZ:
```
28
Lattice="5.9661 0.0000 0.0000 -2.9830 5.1668 0.0000 0.0000 0.0000 9.5122" Properties=species:S:1:pos:R:3 pbc="T T T"
Li 0.0000 0.0000 0.0000
Li 0.0000 0.0000 4.7561
Li 0.0000 3.4445 3.9283
Li 2.9830 1.7223 8.6844
V 0.0000 3.4445 0.0519
V 2.9830 1.7223 4.8079
Fe 0.0000 1.7890 6.9152
Fe -1.4337 4.2723 6.9152
Fe 1.5493 0.8945 2.1591
Fe 1.4337 4.2723 6.9152
Fe 4.4168 0.8945 2.1591
Fe 2.9830 3.3778 2.1591
O 0.0000 0.0000 2.9412
O 0.0000 0.0000 7.6973
O -1.2896 2.7000 8.1576
O 0.0000 1.8035 0.9160
O -1.4211 4.2650 0.9160
O 0.0000 3.4445 5.8350
O 1.5619 0.9018 5.6721
O 1.2896 2.7000 8.1576
O 0.0000 4.9336 8.1576
O 2.9830 0.2332 3.4015
O 1.6934 2.4668 3.4015
O 1.4211 4.2650 0.9160
O 2.9830 1.7223 1.0789
O 4.4042 0.9018 5.6721
O 2.9830 3.3633 5.6721
O 4.2726 2.4668 3.4015
```

Output
As for the total magnetization: 15.00 μB per formula unit.

---

It is (one) that is the most stable of them.